Model P:
Here is an optimized crystal structure of MgCu6OF11 from the Materials Project. Energies are from PBE.

Values from the calculation:
Size of the total moment in μB per formula unit: 3.01
Crystal system: triclinic
ρ in g/cm³: 4.4

Structure (POSCAR):
```
MgCu6OF11
1.0
2.7538 0.3476 -4.7333
0.0941 5.1402 -0.2980
7.1073 -0.1712 4.5418
Cu F Mg O
6 11 1 1
direct
0.3733 0.0065 0.3128
0.8574 0.8525 0.0738
0.1818 0.4985 0.6383
0.4345 0.5071 0.0861
0.8300 0.4955 0.3236
0.7166 0.0145 0.6399
0.8796 0.6855 0.5397
0.1721 0.7281 0.9392
0.1364 0.2847 0.3920
0.6275 0.1745 0.4250
0.7544 0.2812 0.1206
0.3574 0.8061 0.6250
0.2711 0.2101 0.0352
0.1099 0.8023 0.2459
0.0139 0.2070 0.7230
0.4724 0.2991 0.7369
0.6663 0.8689 0.8734
0.3070 0.0127 0.8336
0.6009 0.7512 0.2095
```



Model Q:
Here is an optimized crystal structure of MgCu6OF11 from the Materials Project. Energies are from PBE.

Values from the calculation:
Size of the total moment in μB per formula unit: 3.00
Crystal system: triclinic
ρ in g/cm³: 4.4

Structure (POSCAR):
```
MgCu6OF11
1.0
2.6679 0.0012 -4.9160
-0.0189 5.2528 -0.0051
6.7401 -0.0674 4.6560
F Cu O Mg
11 6 1 1
direct
0.4422 0.3586 0.7873
0.3149 0.8543 0.6137
0.8645 0.6939 0.5810
0.7023 0.8399 0.9050
0.8106 0.2730 0.0829
0.2876 0.1751 0.0899
0.1280 0.3310 0.4249
0.1844 0.7069 0.9398
0.6640 0.1145 0.4387
0.0665 0.8382 0.2921
0.9498 0.1886 0.7162
0.8627 0.5056 0.3024
0.1449 0.5232 0.6938
0.5061 0.5074 0.0103
0.9975 0.9950 0.0047
0.6175 0.0272 0.6909
0.4476 0.9450 0.2563
0.5690 0.6293 0.2233
0.0149 0.0074 0.5015
```



Which one sits at the top of the stability order? model P does.



Model P:
Here is an optimized crystal structure of MgCu6OF11 from the Materials Project. Energies are from PBE.

Values from the calculation:
Size of the total moment in μB per formula unit: 1.13
Crystal system: triclinic
ρ in g/cm³: 4.5

Structure (POSCAR):
```
MgCu6OF11
1.0
1.7777 -4.7619 -1.9287
3.7822 0.1875 3.2555
-5.0447 -3.6361 5.8977
Mg F Cu O
1 11 6 1
direct
0.4982 0.4949 0.4921
0.6940 0.1948 0.4157
0.7889 0.6728 0.6095
0.3135 0.7823 0.5940
0.2110 0.3052 0.3845
0.1129 0.7970 0.2453
0.9097 0.1911 0.7622
0.7015 0.8045 0.9443
0.2030 0.7196 0.9167
0.3125 0.2179 0.0745
0.8249 0.2792 0.0939
0.4125 0.3112 0.6968
0.9065 0.4928 0.3021
0.4202 0.9876 0.3018
0.6068 0.9810 0.7097
0.4844 0.5650 0.0605
0.0919 0.5054 0.7014
0.0116 0.0070 0.0046
0.5961 0.6630 0.2763
```



Model Q:
Here is an optimized crystal structure of MgCu6OF11 from the Materials Project. Energies are from PBE.

Values from the calculation:
Size of the total moment in μB per formula unit: 1.21
Crystal system: triclinic
ρ in g/cm³: 4.5

Structure (POSCAR):
```
MgCu6OF11
1.0
4.0146 -2.0204 -3.4620
-2.7758 -3.8109 -0.3972
-4.1297 3.6962 -6.7879
F Mg Cu O
11 1 6 1
direct
0.7213 0.7518 0.8942
0.9482 0.2190 0.7486
0.4443 0.2757 0.7398
0.0162 0.7343 0.2579
0.2380 0.2019 0.0971
0.8946 0.7157 0.5892
0.2106 0.2521 0.4109
0.2148 0.7072 0.9056
0.7855 0.2312 0.0688
0.4143 0.7684 0.5725
0.7261 0.2124 0.3879
0.9902 0.3179 0.2460
0.3685 0.9617 0.3136
0.4957 0.5520 0.0298
0.9981 0.9723 0.9715
0.6979 0.6497 0.4064
0.1807 0.4938 0.6669
0.6659 0.0061 0.6793
0.5142 0.6712 0.2329
```



Model R:
Here is an optimized crystal structure of MgCu6OF11 from the Materials Project. Energies are from PBE.

Values from the calculation:
Size of the total moment in μB per formula unit: 1.15
Crystal system: triclinic
ρ in g/cm³: 4.5

Structure (POSCAR):
```
MgCu6OF11
1.0
2.6990 0.0027 -4.7031
-0.0339 4.9802 -0.0147
7.3133 -0.0873 4.7297
F Mg Cu O
11 1 6 1
direct
0.5196 0.3280 0.7258
0.6365 0.2025 0.4032
0.0389 0.7795 0.2487
0.9978 0.2042 0.7310
0.8874 0.6738 0.6228
0.7808 0.3282 0.0315
0.6756 0.8289 0.9086
0.2640 0.1833 0.0881
0.1410 0.6697 0.9202
0.1250 0.2938 0.3984
0.3881 0.8137 0.5720
0.8149 0.5003 0.8309
0.6916 0.0073 0.6367
0.3761 0.5602 0.0902
0.8244 0.5009 0.3228
0.3469 0.9820 0.3285
0.9680 0.9994 0.0085
0.2193 0.4816 0.6221
0.5418 0.6904 0.2601
```



Which one sits at the top of the stability order? model R does.



Model P:
Here is an optimized crystal structure of MgCu6O2F10 from the Materials Project. Energies are from PBE.

Values from the calculation:
Size of the total moment in μB per formula unit: 2.01
Crystal system: triclinic
ρ in g/cm³: 4.5

Structure (POSCAR):
```
MgCu6O2F10
1.0
-3.7318 5.3616 -4.9814
-3.2709 -5.0347 0.3857
-2.7506 -0.3316 4.8176
F Cu O Mg
10 6 2 1
direct
0.7517 0.8508 0.9579
0.9860 0.2876 0.6535
0.9931 0.7699 0.7218
0.3521 0.1029 0.6040
0.6410 0.8801 0.4216
0.3448 0.5601 0.5510
0.6913 0.4647 0.4239
0.9537 0.1652 0.2302
0.0412 0.7325 0.2951
0.2797 0.1764 0.0766
0.8094 0.3061 0.3156
0.6056 0.5991 0.7585
0.0289 0.0086 0.9539
0.3346 0.3913 0.2985
0.4699 0.0029 0.0010
0.1935 0.6756 0.6740
0.6343 0.3014 0.9983
0.3451 0.6794 0.0106
0.8357 0.8071 0.3542
```



Model Q:
Here is an optimized crystal structure of MgCu6O2F10 from the Materials Project. Energies are from PBE.

Values from the calculation:
Size of the total moment in μB per formula unit: 2.00
Crystal system: triclinic
ρ in g/cm³: 4.6

Structure (POSCAR):
```
MgCu6O2F10
1.0
6.0452 0.4184 -5.1383
0.0677 5.1108 -0.3291
3.4359 -0.2666 4.4712
Cu F O Mg
6 10 2 1
direct
0.3143 0.5060 0.8648
0.2985 0.9124 0.3776
0.9854 0.4374 0.5422
0.9891 0.0256 0.9798
0.6512 0.5181 0.1711
0.7093 0.0548 0.5839
0.0738 0.8523 0.2594
0.5574 0.3002 0.8131
0.8843 0.3138 0.1824
0.4621 0.8474 0.6404
0.7238 0.8015 0.0053
0.7846 0.6849 0.4962
0.2667 0.1716 0.0304
0.2276 0.2920 0.5574
0.1015 0.7287 0.7904
0.5712 0.2014 0.2936
0.9053 0.1803 0.7116
0.4230 0.6866 0.1372
0.4960 0.9989 0.9799
```



Which one sits at the top of the stability order? model P does.